Entry from the Materials Project: a relaxed Na2LaNbSiP2O12 crystal (GGA-PBE).

a = 9.2830 Å, b = 9.2830 Å, c = 23.0035 Å
α = 90.54°, β = 89.46°, γ = 119.20°
Positions (direct):
P (0.2762, 0.3042, 0.7478)
P (0.0283, 0.7209, 0.7535)
P (0.3638, 0.3809, 0.4153)
P (0.0280, 0.3902, 0.9206)
P (0.6963, 0.6459, 0.5827)
P (0.6958, 0.7238, 0.2478)
P (0.3541, 0.3037, 0.0827)
P (0.6098, 0.9720, 0.4206)
P (0.9490, 0.3007, 0.5816)
P (0.6993, 0.0510, 0.0816)
P (0.6191, 0.6362, 0.9153)
P (0.2791, 0.9717, 0.2535)
O (0.8743, 0.0611, 0.0814)
O (0.8863, 0.5471, 0.7462)
O (0.3716, 0.4982, 0.3622)
O (0.6619, 0.5488, 0.2365)
O (0.5653, 0.6955, 0.5720)
O (0.1372, 0.5085, 0.8691)
O (0.1075, 0.4575, 0.9789)
O (0.3047, 0.8516, 0.9698)
O (0.7037, 0.1693, 0.0300)
O (0.1385, 0.6287, 0.3586)
O (0.6069, 0.1424, 0.4200)
O (0.8704, 0.5362, 0.1444)
O (0.8782, 0.3201, 0.6384)
O (0.1484, 0.6953, 0.4698)
O (0.0180, 0.7945, 0.8108)
O (0.5548, 0.6698, 0.9705)
O (0.5107, 0.7951, 0.7563)
O (0.5281, 0.1480, 0.9257)
O (0.2774, 0.8010, 0.2506)
O (0.5308, 0.7282, 0.2549)
O (0.9916, 0.2129, 0.9150)
O (0.6637, 0.5507, 0.6380)
O (0.4638, 0.1296, 0.6444)
O (0.1286, 0.6503, 0.0802)
O (0.2055, 0.9820, 0.3108)
O (0.4529, 0.1137, 0.2462)
O (0.2718, 0.4692, 0.7549)
O (0.0370, 0.8425, 0.7011)
O (0.8307, 0.2963, 0.5300)
O (0.3302, 0.4452, 0.4705)
O (0.5365, 0.3877, 0.4196)
O (0.7871, 0.0084, 0.4150)
O (0.7988, 0.7654, 0.9049)
O (0.0341, 0.2017, 0.1898)
O (0.1548, 0.1970, 0.6950)
O (0.8183, 0.5209, 0.0289)
O (0.1794, 0.0382, 0.5923)
O (0.5632, 0.8740, 0.0759)
O (0.9951, 0.2114, 0.3054)
O (0.8821, 0.3683, 0.2444)
O (0.1575, 0.9630, 0.2011)
O (0.7886, 0.0049, 0.8054)
O (0.2346, 0.2012, 0.4049)
O (0.4915, 0.8628, 0.3691)
O (0.2151, 0.1973, 0.8012)
O (0.4628, 0.2932, 0.0295)
O (0.1990, 0.7226, 0.7506)
O (0.4493, 0.3363, 0.1380)
O (0.5425, 0.8925, 0.4789)
O (0.8576, 0.3931, 0.9200)
O (0.3497, 0.8714, 0.5802)
O (0.9618, 0.8206, 0.0923)
O (0.2049, 0.4893, 0.2563)
O (0.1906, 0.1323, 0.0872)
O (0.8030, 0.8452, 0.1950)
O (0.9972, 0.8050, 0.4094)
O (0.1260, 0.4368, 0.5759)
O (0.8520, 0.4719, 0.4257)
O (0.3045, 0.4347, 0.0720)
O (0.1950, 0.0028, 0.9094)
O (0.6123, 0.4635, 0.9196)
O (0.9389, 0.1257, 0.5814)
O (0.7068, 0.5372, 0.5295)
O (0.4512, 0.3381, 0.7365)
O (0.7983, 0.9659, 0.6898)
O (0.5018, 0.6284, 0.8622)
O (0.8027, 0.7849, 0.3012)
O (0.8677, 0.8094, 0.5872)
O (0.4791, 0.1817, 0.5289)
O (0.6799, 0.1218, 0.1384)
O (0.6317, 0.1179, 0.7444)
O (0.3713, 0.8615, 0.8586)
Na (0.0083, 0.6936, 0.9133)
Na (0.0220, 0.0125, 0.0027)
Na (0.6434, 0.9729, 0.5817)
Na (0.0271, 0.3566, 0.0817)
Na (0.6776, 0.3156, 0.8378)
Na (0.9791, 0.6454, 0.2398)
Na (0.3546, 0.0209, 0.7398)
Na (0.3674, 0.7009, 0.1701)
Na (0.9875, 0.9780, 0.5027)
Na (0.2991, 0.6326, 0.6701)
Na (0.3064, 0.9917, 0.4133)
Na (0.6844, 0.3224, 0.3378)
Nb (0.0027, 0.9983, 0.1487)
Nb (0.3255, 0.6510, 0.3155)
Nb (0.3490, 0.6745, 0.8155)
Nb (0.0017, 0.9973, 0.6487)
Nb (0.6597, 0.3301, 0.9822)
Nb (0.6699, 0.3403, 0.4822)
Si (0.6891, 0.9800, 0.7477)
Si (0.3659, 0.0521, 0.5857)
Si (0.0257, 0.6493, 0.4168)
Si (0.3507, 0.9743, 0.9168)
Si (0.0200, 0.3109, 0.2477)
Si (0.9479, 0.6341, 0.0857)
La (0.3223, 0.6554, 0.5209)
La (0.3446, 0.6777, 0.0209)
La (0.6533, 0.3211, 0.1875)
La (0.9861, 0.0080, 0.3544)
La (0.6789, 0.3467, 0.6875)
La (0.9920, 0.0139, 0.8544)

Output
The crystal system is monoclinic.

Entry from the Materials Project: a relaxed Na3LaNb3Si3P3O24 crystal (GGA-PBE).

a = 9.0638 Å, b = 9.0619 Å, c = 22.9897 Å
α = 90.01°, β = 89.97°, γ = 119.75°
Positions (direct):
O (0.1791, 0.4713, 0.2500)
O (0.9811, 0.1990, 0.3023)
O (0.1736, 0.9864, 0.9075)
O (0.4995, 0.8657, 0.3577)
O (0.5072, 0.1462, 0.9268)
O (0.6957, 0.5310, 0.5273)
O (0.8079, 0.9763, 0.6970)
O (0.1391, 0.6405, 0.3601)
O (0.6398, 0.4929, 0.9264)
O (0.9023, 0.3692, 0.6386)
O (0.3502, 0.5033, 0.4739)
O (0.8607, 0.5550, 0.7552)
O (0.1681, 0.1829, 0.8070)
O (0.6544, 0.5062, 0.2466)
O (0.5123, 0.7046, 0.2530)
O (0.1699, 0.1951, 0.6971)
O (0.9779, 0.8153, 0.0853)
O (0.0262, 0.1964, 0.1937)
O (0.3668, 0.8637, 0.8576)
O (0.2847, 0.4672, 0.7557)
O (0.0001, 0.8025, 0.4242)
O (0.4678, 0.0941, 0.6385)
O (0.1905, 0.0310, 0.5905)
O (0.3099, 0.8363, 0.9694)
O (0.4978, 0.6331, 0.8577)
O (0.8436, 0.5350, 0.0309)
O (0.0159, 0.1887, 0.9079)
O (0.1359, 0.5036, 0.8578)
O (0.3237, 0.8511, 0.5713)
O (0.8526, 0.4706, 0.4247)
O (0.8135, 0.8281, 0.9076)
O (0.8175, 0.9868, 0.8070)
O (0.4428, 0.3753, 0.1461)
O (0.0140, 0.8314, 0.8068)
O (0.6301, 0.0773, 0.1411)
O (0.1478, 0.4773, 0.5715)
O (0.8525, 0.3598, 0.9275)
O (0.8140, 0.8327, 0.1966)
O (0.2303, 0.0342, 0.2998)
O (0.4804, 0.3120, 0.0326)
O (0.6946, 0.1410, 0.7555)
O (0.3300, 0.4941, 0.0668)
O (0.1842, 0.7170, 0.7550)
O (0.1503, 0.6543, 0.4755)
O (0.0268, 0.8332, 0.6969)
O (0.4764, 0.1311, 0.2363)
O (0.8510, 0.3197, 0.2394)
O (0.6236, 0.5244, 0.6416)
O (0.1844, 0.2027, 0.4260)
O (0.4961, 0.8458, 0.4731)
O (0.4643, 0.1598, 0.5311)
O (0.9754, 0.1631, 0.5901)
O (0.3614, 0.4976, 0.3587)
O (0.1571, 0.6780, 0.0641)
O (0.5134, 0.6772, 0.5730)
O (0.1670, 0.4752, 0.9690)
O (0.2893, 0.8148, 0.2507)
O (0.7868, 0.9643, 0.4223)
O (0.8447, 0.8199, 0.5931)
O (0.5296, 0.6937, 0.9694)
O (0.8398, 0.3019, 0.5310)
O (0.6219, 0.1466, 0.4251)
O (0.5152, 0.8502, 0.0669)
O (0.5275, 0.3836, 0.4235)
O (0.8327, 0.0151, 0.0862)
O (0.1714, 0.1541, 0.0877)
O (0.7877, 0.7773, 0.3138)
O (0.9357, 0.5529, 0.1374)
O (0.6927, 0.1609, 0.0334)
O (0.1752, 0.9766, 0.1922)
O (0.5345, 0.8171, 0.7551)
O (0.4455, 0.3030, 0.7567)
P (0.6657, 0.0274, 0.0815)
P (0.7116, 0.9831, 0.7535)
P (0.0074, 0.3000, 0.2472)
P (0.9765, 0.6415, 0.0787)
P (0.0182, 0.7294, 0.7533)
P (0.3669, 0.0366, 0.5829)
P (0.2926, 0.9877, 0.2455)
P (0.2711, 0.2878, 0.7532)
P (0.9648, 0.3313, 0.5830)
Na (0.3619, 0.3524, 0.2447)
Na (0.3203, 0.6597, 0.1632)
Na (0.3402, 0.6648, 0.6661)
Na (0.0123, 0.0131, 0.4992)
Na (0.6464, 0.0071, 0.2463)
Na (0.9996, 0.0004, 0.0011)
Na (0.6683, 0.3330, 0.8325)
Na (0.7071, 0.6765, 0.4159)
Na (0.6835, 0.3466, 0.3314)
Nb (0.9969, 0.9949, 0.1450)
Nb (0.3357, 0.6645, 0.0134)
Nb (0.6689, 0.3340, 0.4803)
Nb (0.6598, 0.3315, 0.9791)
Nb (0.3329, 0.6661, 0.8136)
Nb (0.3328, 0.6680, 0.3160)
Nb (0.3348, 0.6685, 0.5209)
Nb (0.9973, 0.9969, 0.6449)
Nb (0.0010, 0.0018, 0.8593)
Si (0.3460, 0.3852, 0.4205)
Si (0.6100, 0.9619, 0.4195)
Si (0.3383, 0.9582, 0.9148)
Si (0.0397, 0.3802, 0.9149)
Si (0.6225, 0.6630, 0.9143)
Si (0.0378, 0.6483, 0.4207)
Si (0.6967, 0.7011, 0.2530)
Si (0.3567, 0.3327, 0.0829)
Si (0.6653, 0.6317, 0.5833)
La (0.0107, 0.0042, 0.3588)
La (0.6724, 0.3499, 0.1687)
La (0.6643, 0.3353, 0.6886)

Output
The crystal system is triclinic.

Which formation enthalpy at 0 K belongs to each record? In order, -2.94; -2.99 eV per atom.